The following is a DFT calculation (PBE-GGA) of crystalline Mn9Ir2N9 at its relaxed geometry.

The calculation puts the formation energy at -0.120 eV per atom. As for the spin magnetization: 0.45 μB per atom.

abc: 6.554 7.647 17.006
angles: 90.00 106.08 90.00
Sites, in units of the cell vectors:
Mn 0.482 0.864 0.077
Mn 0.518 0.364 0.423
Mn 0.518 0.136 0.923
Mn 0.482 0.636 0.577
Mn 0.615 0.127 0.580
Mn 0.385 0.627 0.920
Mn 0.385 0.873 0.420
Mn 0.615 0.373 0.080
Mn 0.766 0.872 0.723
Mn 0.234 0.372 0.777
Mn 0.234 0.128 0.277
Mn 0.766 0.628 0.223
Mn 0.835 0.308 0.712
Mn 0.165 0.808 0.788
Mn 0.165 0.692 0.288
Mn 0.835 0.192 0.212
Mn 0.692 0.414 0.892
Mn 0.308 0.914 0.608
Mn 0.308 0.586 0.108
Mn 0.692 0.086 0.392
Mn 0.832 0.122 0.852
Mn 0.168 0.622 0.648
Mn 0.168 0.878 0.148
Mn 0.832 0.378 0.352
Mn 0.064 0.135 0.637
Mn 0.936 0.635 0.863
Mn 0.936 0.865 0.363
Mn 0.064 0.365 0.137
Mn 0.307 0.337 0.580
Mn 0.693 0.837 0.920
Mn 0.693 0.663 0.420
Mn 0.307 0.163 0.080
Mn 0.827 0.444 0.570
Mn 0.173 0.944 0.930
Mn 0.173 0.556 0.430
Mn 0.827 0.056 0.070
Ir 0.471 0.148 0.717
Ir 0.529 0.648 0.783
Ir 0.529 0.852 0.283
Ir 0.471 0.352 0.217
Ir 0.843 0.825 0.572
Ir 0.157 0.325 0.928
Ir 0.157 0.175 0.428
Ir 0.843 0.675 0.072
N 0.603 0.396 0.614
N 0.397 0.896 0.886
N 0.397 0.604 0.386
N 0.603 0.104 0.114
N 0.485 0.245 0.825
N 0.515 0.745 0.675
N 0.515 0.755 0.175
N 0.485 0.255 0.325
N 0.796 0.062 0.957
N 0.204 0.562 0.543
N 0.204 0.938 0.043
N 0.796 0.438 0.457
N 0.512 0.864 0.540
N 0.488 0.364 0.960
N 0.488 0.136 0.460
N 0.512 0.636 0.040
N 0.832 0.078 0.677
N 0.168 0.578 0.823
N 0.168 0.922 0.323
N 0.832 0.422 0.177
N 0.065 0.383 0.661
N 0.935 0.883 0.839
N 0.935 0.617 0.339
N 0.065 0.117 0.161
N 0.036 0.241 0.813
N 0.964 0.741 0.687
N 0.964 0.759 0.187
N 0.036 0.259 0.313
N 0.184 0.120 0.547
N 0.816 0.620 0.953
N 0.816 0.880 0.453
N 0.184 0.380 0.047
N 0.241 0.973 0.708
N 0.759 0.473 0.792
N 0.759 0.027 0.292
N 0.241 0.527 0.208

The following is a DFT calculation (PBE-GGA) of crystalline PuClO at its relaxed geometry.

The calculation puts the formation energy at -2.879 eV per atom.

abc: 3.992 3.992 6.869
angles: 90.00 90.00 90.00
Sites, in units of the cell vectors:
Pu 0.500 0.000 0.829
Pu 0.000 0.500 0.171
Cl 0.000 0.500 0.632
Cl 0.500 0.000 0.368
O 0.000 0.000 0.000
O 0.500 0.500 0.000

The following is a DFT calculation (PBE-GGA) of crystalline Na3Sm7Cl24 at its relaxed geometry.

The calculation puts the formation energy at -2.607 eV per atom. As for the spin magnetization: 0.00 μB per atom.

abc: 7.551 7.551 16.764
angles: 90.00 90.00 120.00
Sites, in units of the cell vectors:
Na 0.000 0.000 0.500
Na 0.667 0.333 0.388
Na 0.667 0.333 0.612
Sm 0.000 0.000 0.752
Sm 0.000 0.000 0.000
Sm 0.000 0.000 0.248
Sm 0.333 0.667 0.877
Sm 0.333 0.667 0.123
Sm 0.333 0.667 0.374
Sm 0.333 0.667 0.626
Cl 0.972 0.245 0.877
Cl 0.972 0.245 0.123
Cl 0.981 0.254 0.368
Cl 0.981 0.254 0.632
Cl 0.755 0.727 0.877
Cl 0.755 0.727 0.123
Cl 0.746 0.727 0.368
Cl 0.746 0.727 0.632
Cl 0.058 0.636 0.753
Cl 0.060 0.637 0.000
Cl 0.058 0.636 0.247
Cl 0.049 0.612 0.500
Cl 0.273 0.028 0.877
Cl 0.273 0.028 0.123
Cl 0.273 0.019 0.368
Cl 0.273 0.019 0.632
Cl 0.578 0.942 0.753
Cl 0.578 0.940 0.000
Cl 0.578 0.942 0.247
Cl 0.563 0.951 0.500
Cl 0.364 0.422 0.753
Cl 0.363 0.422 0.000
Cl 0.364 0.422 0.247
Cl 0.388 0.437 0.500